Entry 1:
Ba2La2Mg2TiWO12 after structural relaxation. Source: the Materials Project database, functional GGA+U.

extended XYZ file:
```
60
Lattice="5.689 0.000 0.000 -2.845 4.927 0.000 0.000 -0.003 27.862" Properties=species:S:1:pos:R:3 pbc="T T T"
Ba -0.001 3.282 5.995
Ba 2.845 1.642 1.205
Ba 2.844 4.925 24.297
Ba 0.000 0.000 3.565
Ba 0.000 3.282 26.657
Ba 2.846 1.643 21.866
La 0.004 3.290 19.407
La 2.847 1.642 15.027
La 2.838 4.915 10.479
La 0.007 0.010 17.383
La -0.002 3.283 12.835
La 2.841 1.635 8.455
Mg 2.843 4.923 7.111
Mg 0.000 3.285 2.393
Mg 0.002 0.001 20.751
Mg 2.844 1.640 25.469
Mg 2.842 1.638 11.698
Mg 0.002 3.286 16.163
Ti 2.849 1.649 18.464
Ti 0.000 -0.001 13.931
Ti -0.004 3.276 9.397
W 2.844 1.642 4.780
W 0.000 0.000 0.000
W 0.000 3.283 23.082
O 4.214 2.434 3.644
O 2.843 3.202 5.929
O 4.197 0.858 5.926
O 1.476 2.434 3.643
O 2.845 0.061 3.641
O 1.489 0.858 5.924
O 1.370 0.788 26.727
O 0.000 1.581 1.135
O -1.476 4.136 1.135
O 4.320 0.788 26.727
O 2.845 3.343 26.727
O 1.475 4.137 1.134
O 1.356 4.067 21.937
O 0.000 4.863 24.221
O 1.369 2.491 24.219
O -1.352 4.067 21.936
O 0.001 1.722 21.933
O -1.370 2.491 24.218
O 4.255 2.461 17.349
O 2.848 3.299 19.506
O 4.283 0.818 19.500
O 1.441 2.460 17.347
O 2.847 0.026 17.341
O 1.410 0.817 19.498
O 0.000 1.616 15.029
O 1.402 0.808 12.839
O -1.443 4.116 15.025
O 4.287 0.809 12.836
O 2.845 3.308 12.832
O 1.443 4.116 15.023
O -0.002 4.898 10.520
O 1.434 4.108 8.364
O 1.403 2.464 10.515
O -1.438 4.106 8.361
O -0.003 1.626 8.356
O -1.411 2.463 10.512
```

Entry 2:
Ba2La2MgZnW2O12 after structural relaxation. Source: the Materials Project database, functional GGA+U.

extended XYZ file:
```
20
Lattice="6.982 7.332 -0.166 9.619 2.599 1.804 8.769 3.280 -3.857" Properties=species:S:1:pos:R:3 pbc="T T T"
Ba 7.257 3.779 -0.635
Ba 18.113 9.432 -1.584
La 3.455 1.799 -0.302
La 21.915 11.412 -1.917
Mg 12.685 6.606 -1.110
Zn 0.000 0.000 0.000
W 10.439 5.436 -0.913
W 14.931 7.775 -1.306
O 10.215 4.094 0.451
O 9.783 4.441 -2.427
O 8.875 6.501 -0.550
O 12.364 4.612 -1.301
O 11.061 6.951 -2.275
O 11.481 6.614 0.523
O 13.889 6.597 -2.742
O 14.309 6.260 0.056
O 13.006 8.599 -0.918
O 16.495 6.711 -1.669
O 15.587 8.771 0.208
O 15.155 9.117 -2.671
```

Entry 3:
BaNaLaMnO6 after structural relaxation. Source: the Materials Project database, functional GGA+U.

Summary:
As for the offset from the most stable computed form: 0 meV per atom.

extended XYZ file:
```
10
Lattice="3.662 4.367 -1.943 2.558 -0.412 -5.436 -1.769 3.657 -4.445" Properties=species:S:1:pos:R:3 pbc="T T T"
Ba 1.113 1.903 -2.956
Na 3.338 5.709 -8.867
La 0.000 0.000 0.000
Mn 2.225 3.806 -5.912
O 2.871 4.058 -4.127
O 1.580 3.554 -7.696
O 2.076 5.703 -6.125
O 2.375 1.910 -5.698
O 4.021 3.873 -6.571
O 0.430 3.739 -5.252
```

Entry 4:
BaNaLaMnO6 after structural relaxation. Source: the Materials Project database, functional GGA+U.

Summary:
As for the offset from the most stable computed form: 9 meV per atom.

extended XYZ file:
```
40
Lattice="-1.873 3.481 7.541 -8.258 -0.044 -2.031 -0.786 -7.704 3.361" Properties=species:S:1:pos:R:3 pbc="T T T"
Ba 0.000 0.000 0.000
Ba -5.459 -2.133 4.436
Ba -1.330 -2.111 5.451
Ba -4.129 -0.022 -1.016
Na -4.522 -3.874 0.665
Na -5.066 1.719 2.755
Na -0.937 1.741 3.771
Na -0.393 -3.852 1.681
La -8.188 -3.200 6.654
La -3.122 -4.919 3.899
La -6.858 -1.088 1.202
La -3.666 0.674 5.989
Mn -2.729 -1.067 2.218
Mn -7.795 0.652 4.973
Mn -4.059 -3.178 7.669
Mn -7.251 -4.941 2.883
O -2.080 -1.992 0.662
O -8.475 1.277 6.660
O -4.215 -2.250 9.346
O -7.065 -5.568 1.075
O -0.909 -0.748 2.783
O -9.173 -5.071 2.726
O -9.572 0.763 4.221
O -2.181 -3.477 8.014
O -2.661 0.555 1.194
O -4.457 -4.802 8.612
O -7.206 -6.774 3.448
O -7.511 2.488 4.489
O -3.378 -0.141 3.773
O -7.115 0.028 3.286
O -3.903 -4.106 5.992
O -7.438 -4.313 4.691
O -4.550 -1.385 1.653
O -5.330 -4.811 3.040
O -6.018 0.542 5.726
O -5.937 -2.879 7.325
O -2.798 -2.689 3.242
O -3.661 -1.554 6.726
O -7.297 -3.107 2.318
O -8.079 -1.183 5.458
```

Number 1: energy relative to the elements -65.25 eV per formula unit. Number 2: energy relative to the elements -54.92 eV per formula unit. Number 3: energy relative to the elements -23.30 eV per formula unit. Number 4: energy relative to the elements -23.21 eV per formula unit.